#w
# PbS2N2

A relaxed PbS2N2 crystal (GGA-PBE, the Materials Project database).

The structure in extended XYZ format:
```
20
Lattice="6.4198 0.0000 0.0000 0.0000 17.3202 0.0000 -0.3597 0.0000 5.4683" Properties=species:S:1:pos:R:3 pbc="T T T"
Pb 1.4428 1.0020 1.9484
Pb 1.2630 7.6581 4.6826
Pb 4.7972 9.6621 0.7857
Pb 4.6173 16.3182 3.5199
S 2.1210 9.4334 1.4860
S 1.9411 16.5470 4.2202
S 2.0406 11.7743 5.3657
S 2.2204 14.2061 2.6315
S 3.8397 3.1141 2.8368
S 4.0195 5.5460 0.1026
S 4.1190 0.7733 1.2481
S 3.9392 7.8868 3.9823
N 1.4394 10.7767 0.6851
N 1.2596 15.2036 3.4192
N 2.3498 2.8355 2.9272
N 2.5297 5.8246 0.1931
N 3.5305 11.4957 5.2753
N 3.7103 14.4847 2.5411
N 4.8005 2.1166 2.0491
N 4.6207 6.5435 4.7833
```

ρ = 3.27 g/cm3

#x
# PbS2N2

A relaxed PbS2N2 crystal (GGA-PBE, the Materials Project database).

The structure in extended XYZ format:
```
20
Lattice="4.4646 0.0000 0.0000 0.0000 7.8353 0.0000 0.0000 0.0000 12.5708" Properties=species:S:1:pos:R:3 pbc="T T T"
Pb 0.5463 1.1416 1.5193
Pb 1.6860 6.6937 7.8047
Pb 2.7786 2.7760 11.0515
Pb 3.9183 5.0592 4.7661
S 0.2943 4.6740 9.1276
S 0.5231 4.5062 0.7338
S 1.7092 3.3291 7.0193
S 1.9380 3.1612 2.8422
S 2.5266 7.0788 3.4432
S 2.7554 7.2467 11.8370
S 3.9415 0.5885 5.5516
S 4.1703 0.7564 9.7286
N 0.0549 3.1083 0.2410
N 0.7717 3.2959 8.2842
N 1.4606 4.5393 1.9988
N 2.1774 4.7270 6.5264
N 2.2872 0.8093 12.3298
N 3.0040 0.6217 4.2866
N 3.6929 7.2135 10.5720
N 4.4097 7.0259 6.0444
```

ρ = 4.52 g/cm3

Energies in eV/atom, measured from the most stable structure: #w 0.072; #x 0.000.

#w
# PdN

A relaxed PdN crystal (GGA-PBE, the Materials Project database).

The structure in extended XYZ format:
```
4
Lattice="3.3773 0.0000 0.0000 -1.6887 2.9248 0.0000 0.0000 0.0000 8.9468" Properties=species:S:1:pos:R:3 pbc="T T T"
Pd 0.0000 1.9499 2.2367
Pd 1.6887 0.9749 6.7101
N 0.0000 1.9499 6.7101
N 1.6887 0.9749 2.2367
```

ρ = 4.53 g/cm3

#x
# PdN

A relaxed PdN crystal (GGA-PBE, the Materials Project database).

The structure in extended XYZ format:
```
2
Lattice="3.0167 0.0000 0.0000 -1.5084 2.6126 0.0000 0.0000 0.0000 2.8792" Properties=species:S:1:pos:R:3 pbc="T T T"
Pd 0.0000 0.0000 0.0000
N 0.0000 1.7417 1.4396
```

ρ = 8.81 g/cm3

#y
# PdN

A relaxed PdN crystal (GGA-PBE, the Materials Project database).

The structure in extended XYZ format:
```
2
Lattice="2.7783 0.0000 0.0000 0.0000 2.7783 0.0000 0.0000 0.0000 2.7783" Properties=species:S:1:pos:R:3 pbc="T T T"
Pd 0.0000 0.0000 0.0000
N 1.3892 1.3892 1.3892
```

ρ = 9.32 g/cm3

Energies in eV/atom, measured from the most stable structure: #w 0.049; #x 0.000; #y 0.195.